A plane-wave DFT calculation with PBE was carried out for Na3YZrSi2SO12 after structural relaxation.

Properties
DFT total energy (eV for the cell shown): -862.639
Energy relative to the elements (eV/atom): -2.934

Cell lengths 9.3648, 9.3648, 23.0224 Å; angles 89.37, 90.63, 120.19 degrees
Fractional coordinates of all 120 atoms:
O1 0.8219 0.8047 0.9168
O2 0.8876 0.3426 0.6490
O3 0.1932 0.1780 0.0858
S1 0.0278 0.6581 0.4130
O4 0.7981 0.0115 0.7980
O5 0.5250 0.3759 0.4211
O6 0.1552 0.4714 0.5835
O7 0.5256 0.6555 0.5778
Zr1 0.9974 0.9806 0.1479
O8 0.8088 0.7923 0.3106
Si1 0.9651 0.6297 0.0862
O9 0.1766 0.2005 0.6951
O10 0.1917 0.7092 0.7544
O11 0.9574 0.1417 0.5877
O12 0.2908 0.8083 0.2544
O13 0.0112 0.8077 0.4111
Si2 0.7037 0.7015 0.2529
O14 0.4887 0.1401 0.9192
Na1 0.6311 0.9960 0.2399
O15 0.5411 0.8579 0.4773
O16 0.5286 0.8448 0.0835
O17 0.6574 0.1124 0.1490
O18 0.1063 0.6402 0.3598
Si3 0.0370 0.3682 0.9196
Na2 0.0040 0.3689 0.7399
S2 0.6945 0.9914 0.7464
O19 0.4754 0.1256 0.6440
Y1 0.3199 0.6588 0.5178
O20 0.4396 0.3069 0.0265
O21 0.6862 0.1608 0.0339
Na3 0.0055 0.0401 0.4949
O22 0.6778 0.1411 0.7444
O23 0.2077 0.1912 0.8106
O24 0.5542 0.6760 0.9823
O25 0.8744 0.5246 0.1440
O26 0.7730 0.9735 0.6932
Si4 0.6302 0.6569 0.9221
O27 0.9885 0.2019 0.2980
O28 0.1953 0.1781 0.4168
Si5 0.0098 0.7031 0.7554
Si6 0.3431 0.3698 0.4221
Na4 0.2978 0.3294 0.5732
O29 0.6931 0.5604 0.5265
O30 0.1923 0.9888 0.9111
O31 0.8432 0.5338 0.0285
O32 0.1891 0.0287 0.5878
O33 0.0196 0.8275 0.7005
O34 0.4662 0.1568 0.5285
O35 0.0229 0.1888 0.9151
O36 0.0265 0.2270 0.1932
O37 0.3445 0.4744 0.0778
O38 0.6551 0.5352 0.6313
S3 0.6752 0.6389 0.5797
O39 0.5266 0.8447 0.7525
Na5 0.3388 0.7068 0.1616
S4 0.0086 0.3055 0.2464
Si7 0.2969 0.9902 0.2554
Zr2 0.0194 0.0026 0.6479
Na6 0.6879 0.6731 0.4106
Na7 0.3269 0.3121 0.9106
Y2 0.3412 0.6801 0.0178
O40 0.1553 0.4734 0.2525
Na8 0.6721 0.3734 0.8283
O41 0.6241 0.4750 0.9211
Na9 0.6603 0.9788 0.5773
Na10 0.9644 0.6627 0.9066
O42 0.3598 0.8937 0.8598
O43 0.2209 0.0093 0.3157
O44 0.3529 0.4941 0.3672
O45 0.4648 0.3449 0.1313
Na11 0.6266 0.3279 0.3283
O46 0.8220 0.8068 0.5858
O47 0.1421 0.4589 0.9773
O48 0.1314 0.6782 0.4647
Y3 0.6745 0.3468 0.6844
Si8 0.6318 0.9630 0.4196
Zr3 0.6641 0.3139 0.4812
Zr4 0.3528 0.6693 0.3146
O49 0.5224 0.6954 0.2545
O50 0.9713 0.8109 0.0878
Y4 0.0078 0.0135 0.3511
O51 0.3046 0.4776 0.7545
Na12 0.9936 0.6454 0.2439
O52 0.9907 0.7791 0.8157
Na13 0.6706 0.7022 0.0732
Zr5 0.6861 0.3359 0.9812
Si9 0.9635 0.3236 0.5888
Si10 0.2985 0.2963 0.7529
Na14 0.2932 0.6612 0.6616
Na15 0.9599 0.9945 0.9949
S5 0.3611 0.3248 0.0797
O53 0.6896 0.5221 0.2485
O54 0.5059 0.6471 0.8672
Y5 0.9865 0.9922 0.8511
O55 0.3240 0.4458 0.4823
O56 0.1446 0.6437 0.0818
O57 0.3218 0.8686 0.9647
O58 0.3563 0.8554 0.5818
Y6 0.6532 0.3255 0.1844
O59 0.4779 0.3104 0.7485
O60 0.8589 0.3222 0.2444
O61 0.1725 0.9804 0.2005
O62 0.8620 0.5114 0.7501
O63 0.7995 0.8234 0.1951
Zr6 0.3307 0.6472 0.8146
Na16 0.3373 0.0356 0.4066
Si11 0.3703 0.0349 0.5862
Na17 0.0212 0.3397 0.0773
O64 0.8583 0.0426 0.0877
O65 0.5099 0.8671 0.3618
O66 0.8112 0.9771 0.4151
O67 0.1329 0.4901 0.8618
O68 0.8557 0.3621 0.9211
O69 0.8599 0.5113 0.4192
Si12 0.6764 0.0365 0.0888
O70 0.4886 0.1380 0.2501
O71 0.8392 0.3138 0.5339
O72 0.6379 0.1443 0.4211
S6 0.3419 0.9722 0.9130
Na18 0.3546 0.0064 0.7439